No. 1
Density functional theory data (GGA-PBE) for crystalline Rb2ZnCl4 at its relaxed geometry.

a = 9.4137 Å, b = 7.4010 Å, c = 12.9819 Å
α = 90.00°, β = 90.00°, γ = 90.00°
Space group Pnma (No. 62)
One atom of each set of equivalent atoms:
Rb1 0.0150 0.2500 0.1795
Rb2 0.1308 0.7500 0.4085
Zn1 0.2248 0.7500 0.0776
Cl1 0.0168 0.2500 0.9173
Cl2 0.1812 0.2500 0.4139
Cl3 0.1838 0.9999 0.6574

Raw total energy   -3.18 eV per atom

***

No. 2
Density functional theory data (GGA-PBE) for crystalline Rb2ZnCl4 at its relaxed geometry.

a = 9.3803 Å, b = 12.9577 Å, c = 7.4029 Å
α = 90.00°, β = 90.00°, γ = 90.00°
Space group Pna2_1 (No. 33)
One atom of each set of equivalent atoms:
Rb1 0.0128 0.1794 0.0000
Rb2 0.1288 0.4073 0.4994
Zn1 0.2231 0.0784 0.5019
Cl1 0.0182 0.9198 0.0041
Cl2 0.1779 0.4164 0.9950
Cl3 0.1849 0.6566 0.2521
Cl4 0.1910 0.6639 0.7552

Maximum piezoelectric response   0.14 C/m²
Raw total energy   -3.18 eV per atom

***

No. 3
Density functional theory data (GGA-PBE) for crystalline Rb2ZnCl4 at its relaxed geometry.

a = 28.1918 Å, b = 12.9828 Å, c = 7.6130 Å
α = 90.00°, β = 90.00°, γ = 90.00°
Space group Pna2_1 (No. 33)
One atom of each set of equivalent atoms:
Rb1 0.0000 0.1901 0.0000
Rb2 0.0442 0.4163 0.5127
Rb3 0.1181 0.9170 0.0289
Rb4 0.1674 0.3109 0.0766
Rb5 0.1668 0.6847 0.5616
Rb6 0.2118 0.0803 0.5735
Zn1 0.0727 0.0804 0.5458
Zn2 0.0949 0.5830 0.0163
Zn3 0.2412 0.4145 0.5599
Cl1 0.0042 0.9454 0.1228
Cl2 0.0555 0.4294 0.9660
Cl3 0.0673 0.7026 0.8182
Cl4 0.0722 0.6385 0.2891
Cl5 0.0820 0.1970 0.3240
Cl6 0.1103 0.1414 0.7964
Cl7 0.1114 0.9296 0.4751
Cl8 0.1633 0.4320 0.4896
Cl9 0.1738 0.5614 0.9786
Cl10 0.2215 0.0673 0.1302
Cl11 0.2216 0.8612 0.8039
Cl12 0.2457 0.7950 0.2746

Raw total energy   -3.18 eV per atom

***

No. 4
Density functional theory data (GGA-PBE) for crystalline ReCl6 at its relaxed geometry.

a = 6.2490 Å, b = 6.2490 Å, c = 17.0658 Å
α = 90.00°, β = 90.00°, γ = 120.00°
Space group R-3 (No. 148, hexagonal axes)
One atom of each set of equivalent atoms:
Re1 0.0000 0.0000 0.0000
Cl1 0.0050 0.7014 0.0777

Raw total energy   -3.90 eV per atom

***

No. 5
Density functional theory data (GGA-PBE) for crystalline ReSe2Cl12 at its relaxed geometry.

a = 12.0789 Å, b = 12.9722 Å, c = 21.8943 Å
α = 90.00°, β = 90.00°, γ = 90.00°
Space group Fdd2 (No. 43)
One atom of each set of equivalent atoms:
Re1 0.0000 0.0000 0.0000
Se1 0.0082 0.2768 0.9176
Cl1 0.1109 0.0765 0.9224
Cl2 0.1105 0.3493 0.4987
Cl3 0.1128 0.3309 0.9933
Cl4 0.1152 0.3369 0.8433
Cl5 0.1169 0.0754 0.0745
Cl6 0.1173 0.1005 0.4227

Raw total energy   -3.20 eV per atom

***

No. 6
Density functional theory data (GGA-PBE) for crystalline ReSe4Cl6 at its relaxed geometry.

a = 10.8172 Å, b = 11.2522 Å, c = 10.8408 Å
α = 90.00°, β = 90.00°, γ = 90.00°
Space group Pccn (No. 56)
One atom of each set of equivalent atoms:
Re1 0.0000 0.0000 0.0000
Se1 0.0884 0.0996 0.4274
Se2 0.1081 0.6020 0.9779
Cl1 0.0858 0.6579 0.6167
Cl2 0.1270 0.1356 0.1027
Cl3 0.1548 0.5264 0.3466

Raw total energy   -3.79 eV per atom

***

No. 7
Density functional theory data (GGA-PBE) for crystalline Re3Se2Cl5 at its relaxed geometry.

a = 9.4810 Å, b = 9.5031 Å, c = 12.6539 Å
α = 84.46°, β = 84.50°, γ = 82.39°
Space group P1 (No. 1)
One atom of each set of equivalent atoms:
Re1 0.0000 0.0000 0.0000
Re2 0.0282 0.0179 0.7024
Re3 0.0998 0.1754 0.8463
Re4 0.1930 0.9027 0.8517
Re5 0.3315 0.5314 0.4222
Re6 0.4426 0.4492 0.2328
Re7 0.4850 0.6973 0.2923
Re8 0.5453 0.3210 0.4104
Re9 0.5874 0.5693 0.4691
Re10 0.6979 0.4874 0.2802
Re11 0.8339 0.1157 0.8517
Re12 0.9287 0.8432 0.8571
Se1 0.1174 0.7579 0.7115
Se2 0.2553 0.0611 0.9884
Se3 0.3784 0.7674 0.4754
Se4 0.4363 0.4111 0.5871
Se5 0.5900 0.6098 0.1133
Se6 0.6470 0.2534 0.2257
Se7 0.7433 0.9463 0.9989
Se8 0.7878 0.3640 0.4523
Cl1 0.0428 0.0380 0.5178
Cl2 0.0889 0.7446 0.9958
Cl3 0.0934 0.5537 0.5004
Cl4 0.2015 0.3861 0.8340
Cl5 0.2464 0.6592 0.2497
Cl6 0.2746 0.0745 0.7060
Cl7 0.2978 0.2929 0.3615
Cl8 0.3367 0.3771 0.0892
Cl9 0.4176 0.7678 0.8528
Cl10 0.4463 0.9382 0.2169
Cl11 0.5772 0.0795 0.4862
Cl12 0.6127 0.2533 0.8464
Cl13 0.6886 0.6497 0.6134
Cl14 0.7238 0.7316 0.3368
Cl15 0.7798 0.9626 0.7166
Cl16 0.8245 0.6327 0.8665
Cl17 0.9130 0.2567 0.9847
Cl18 0.9355 0.4681 0.1951
Cl19 0.9365 0.2817 0.7041
Cl20 0.9837 0.9864 0.1862

Raw total energy   -5.96 eV per atom

***

No. 8
Density functional theory data (GGA-PBE) for crystalline ReSe2Cl12 at its relaxed geometry.

a = 8.8625 Å, b = 8.8625 Å, c = 12.5026 Å
α = 109.22°, β = 109.22°, γ = 94.08°
Space group P1 (No. 1)
One atom of each set of equivalent atoms:
Re1 0.0000 0.0000 0.0000
Re2 0.2433 0.7515 0.5013
Se1 0.0548 0.1100 0.6635
Se2 0.3613 0.8141 0.1687
Se3 0.5937 0.5475 0.6640
Se4 0.7997 0.3486 0.1675
Cl1 0.0309 0.1918 0.5128
Cl2 0.0358 0.7318 0.0042
Cl3 0.1121 0.9594 0.8480
Cl4 0.1264 0.4839 0.3526
Cl5 0.1785 0.3515 0.8102
Cl6 0.2097 0.8666 0.3544
Cl7 0.2551 0.1081 0.1542
Cl8 0.2931 0.6336 0.6549
Cl9 0.3559 0.5550 0.1514
Cl10 0.3624 0.0124 0.6602
Cl11 0.4496 0.7906 0.0149
Cl12 0.4766 0.3098 0.5173
Cl13 0.5098 0.7135 0.5036
Cl14 0.5571 0.2184 0.0165
Cl15 0.6036 0.9299 0.3175
Cl16 0.6274 0.4512 0.8186
Cl17 0.7043 0.3786 0.3133
Cl18 0.7327 0.8846 0.8511
Cl19 0.7955 0.5915 0.1596
Cl20 0.8006 0.1049 0.6544
Cl21 0.8396 0.5365 0.6560
Cl22 0.8887 0.0350 0.1565
Cl23 0.9523 0.2594 0.0046
Cl24 0.9876 0.7828 0.5027

Raw total energy   -3.19 eV per atom

***

Number 1: formation energy from the elements -2010 meV/atom. Number 2: formation energy from the elements -2010 meV/atom. Number 3: formation energy from the elements -2016 meV/atom. Number 4: formation energy from the elements -1061 meV/atom. Number 5: formation energy from the elements -919 meV/atom. Number 6: formation energy from the elements -719 meV/atom. Number 7: formation energy from the elements -906 meV/atom. Number 8: formation energy from the elements -909 meV/atom.